*w*
First-principles (PBE with a Hubbard U) data for crystalline Li6MnV3P6O24 at its relaxed geometry, as listed in the Materials Project.

Lattice parameters (Å, degrees): 8.550 8.747 14.737 90.00 124.45 90.00
Fractional positions:
Li 0.000 0.029 0.000
Li 0.000 0.971 0.500
Li 0.277 0.262 0.024
Li 0.277 0.738 0.524
Li 0.385 0.336 0.486
Li 0.385 0.664 0.986
Li 0.608 0.164 0.869
Li 0.608 0.836 0.369
Li 0.715 0.236 0.331
Li 0.715 0.764 0.831
Li 0.994 0.470 0.356
Li 0.994 0.530 0.856
Mn 0.644 0.221 0.072
Mn 0.644 0.779 0.572
V 0.133 0.286 0.569
V 0.133 0.714 0.069
V 0.344 0.277 0.282
V 0.344 0.723 0.782
V 0.862 0.214 0.787
V 0.862 0.786 0.287
P 0.029 0.141 0.326
P 0.029 0.859 0.826
P 0.261 0.368 0.828
P 0.261 0.632 0.328
P 0.447 0.002 0.669
P 0.447 0.998 0.169
P 0.548 0.500 0.188
P 0.548 0.500 0.688
P 0.730 0.132 0.526
P 0.730 0.868 0.026
P 0.966 0.360 0.031
P 0.966 0.640 0.531
O 0.013 0.020 0.866
O 0.013 0.980 0.366
O 0.118 0.256 0.426
O 0.118 0.744 0.926
O 0.125 0.329 0.866
O 0.125 0.671 0.366
O 0.153 0.142 0.282
O 0.153 0.858 0.782
O 0.163 0.330 0.706
O 0.163 0.670 0.206
O 0.171 0.300 0.116
O 0.171 0.700 0.616
O 0.246 0.074 0.613
O 0.246 0.926 0.113
O 0.289 0.455 0.346
O 0.289 0.545 0.846
O 0.391 0.381 0.622
O 0.391 0.619 0.122
O 0.447 0.279 0.899
O 0.447 0.721 0.399
O 0.449 0.082 0.078
O 0.449 0.918 0.578
O 0.479 0.110 0.260
O 0.479 0.890 0.760
O 0.515 0.388 0.095
O 0.515 0.612 0.595
O 0.540 0.414 0.277
O 0.540 0.586 0.777
O 0.543 0.220 0.453
O 0.543 0.780 0.953
O 0.603 0.122 0.734
O 0.603 0.878 0.234
O 0.707 0.047 0.010
O 0.707 0.953 0.510
O 0.747 0.427 0.744
O 0.747 0.573 0.244
O 0.825 0.171 0.647
O 0.825 0.202 0.244
O 0.825 0.798 0.744
O 0.825 0.829 0.147
O 0.843 0.362 0.076
O 0.843 0.638 0.576
O 0.866 0.170 0.490
O 0.866 0.830 0.990
O 0.881 0.244 0.932
O 0.881 0.756 0.432
O 0.984 0.481 0.491
O 0.984 0.519 0.991

***

*x*
First-principles (PBE with a Hubbard U) data for crystalline Li6MnV3P6O24 at its relaxed geometry, as listed in the Materials Project.

Lattice parameters (Å, degrees): 9.836 9.871 9.874 86.66 85.99 87.15
Fractional positions:
Li 0.000 0.000 0.000
Li 0.002 0.449 0.659
Li 0.146 0.149 0.703
Li 0.186 0.916 0.471
Li 0.325 0.617 0.633
Li 0.343 0.979 0.160
Li 0.444 0.757 0.360
Li 0.546 0.483 0.435
Li 0.636 0.817 0.140
Li 0.694 0.474 0.815
Li 0.781 0.198 0.137
Li 0.899 0.253 0.870
Mn 0.436 0.218 0.622
Mn 0.671 0.776 0.846
V 0.163 0.715 0.912
V 0.169 0.498 0.130
V 0.388 0.276 0.125
V 0.657 0.997 0.629
V 0.883 0.999 0.416
V 0.947 0.500 0.350
P 0.068 0.197 0.210
P 0.095 0.801 0.226
P 0.232 0.399 0.829
P 0.258 0.412 0.428
P 0.360 0.889 0.693
P 0.468 0.594 0.052
P 0.574 0.068 0.324
P 0.593 0.083 0.931
P 0.732 0.696 0.532
P 0.767 0.297 0.562
P 0.865 0.571 0.040
P 0.960 0.922 0.730
O 0.002 0.943 0.574
O 0.020 0.787 0.786
O 0.025 0.577 0.008
O 0.028 0.127 0.349
O 0.044 0.358 0.221
O 0.089 0.641 0.257
O 0.097 0.836 0.069
O 0.101 0.459 0.461
O 0.109 0.327 0.782
O 0.207 0.556 0.792
O 0.223 0.162 0.175
O 0.223 0.851 0.284
O 0.238 0.370 0.989
O 0.277 0.270 0.493
O 0.292 0.413 0.268
O 0.304 0.828 0.833
O 0.308 0.627 0.045
O 0.313 0.040 0.677
O 0.318 0.809 0.575
O 0.350 0.517 0.477
O 0.370 0.356 0.763
O 0.454 0.127 0.004
O 0.491 0.437 0.066
O 0.514 0.203 0.261
O 0.514 0.668 0.171
O 0.516 0.942 0.267
O 0.520 0.868 0.698
O 0.538 0.067 0.481
O 0.543 0.635 0.912
O 0.583 0.117 0.773
O 0.605 0.925 0.964
O 0.610 0.655 0.462
O 0.615 0.335 0.554
O 0.716 0.155 0.973
O 0.725 0.657 0.689
O 0.733 0.069 0.294
O 0.746 0.855 0.503
O 0.794 0.137 0.557
O 0.795 0.710 0.010
O 0.798 0.913 0.754
O 0.815 0.453 0.968
O 0.827 0.347 0.689
O 0.844 0.356 0.429
O 0.845 0.545 0.202
O 0.870 0.628 0.476
O 0.962 0.862 0.293
O 0.979 0.160 0.097
O 0.999 0.046 0.804

***

*y*
First-principles (PBE with a Hubbard U) data for crystalline Li6MnV3P6O24 at its relaxed geometry, as listed in the Materials Project.

Lattice parameters (Å, degrees): 9.831 9.839 9.865 84.82 86.84 87.19
Fractional positions:
Li 0.000 0.000 0.000
Li 0.002 0.484 0.639
Li 0.155 0.179 0.676
Li 0.193 0.951 0.452
Li 0.353 0.989 0.150
Li 0.357 0.635 0.621
Li 0.417 0.765 0.360
Li 0.565 0.513 0.385
Li 0.639 0.826 0.161
Li 0.717 0.477 0.812
Li 0.795 0.235 0.125
Li 0.934 0.268 0.871
Mn 0.901 0.001 0.397
Mn 0.960 0.519 0.345
V 0.178 0.499 0.126
V 0.181 0.719 0.908
V 0.396 0.285 0.123
V 0.460 0.224 0.626
V 0.679 0.790 0.845
V 0.685 0.005 0.627
P 0.086 0.198 0.201
P 0.106 0.803 0.216
P 0.250 0.409 0.822
P 0.273 0.430 0.427
P 0.377 0.908 0.692
P 0.479 0.599 0.059
P 0.578 0.079 0.327
P 0.608 0.095 0.931
P 0.750 0.700 0.544
P 0.770 0.316 0.556
P 0.878 0.572 0.032
P 0.985 0.938 0.727
O 0.024 0.060 0.802
O 0.024 0.957 0.575
O 0.039 0.579 0.996
O 0.039 0.799 0.791
O 0.057 0.357 0.205
O 0.061 0.127 0.344
O 0.103 0.640 0.249
O 0.117 0.459 0.464
O 0.121 0.351 0.772
O 0.122 0.840 0.058
O 0.231 0.852 0.282
O 0.239 0.162 0.159
O 0.249 0.568 0.785
O 0.257 0.378 0.981
O 0.301 0.418 0.268
O 0.309 0.290 0.503
O 0.318 0.632 0.050
O 0.318 0.849 0.829
O 0.337 0.064 0.672
O 0.338 0.836 0.570
O 0.363 0.544 0.461
O 0.383 0.345 0.761
O 0.471 0.136 0.001
O 0.506 0.213 0.272
O 0.509 0.443 0.064
O 0.514 0.951 0.281
O 0.525 0.663 0.184
O 0.540 0.886 0.703
O 0.544 0.659 0.922
O 0.554 0.081 0.490
O 0.596 0.123 0.768
O 0.612 0.346 0.553
O 0.625 0.935 0.969
O 0.632 0.659 0.467
O 0.727 0.665 0.702
O 0.731 0.084 0.287
O 0.731 0.169 0.966
O 0.753 0.864 0.515
O 0.797 0.154 0.564
O 0.812 0.710 0.976
O 0.821 0.931 0.755
O 0.831 0.368 0.680
O 0.831 0.447 0.968
O 0.833 0.374 0.418
O 0.847 0.564 0.189
O 0.892 0.639 0.505
O 0.967 0.860 0.264
O 0.991 0.159 0.093

***

*z*
First-principles (PBE with a Hubbard U) data for crystalline Li6MnV3P6O24 at its relaxed geometry, as listed in the Materials Project.

Lattice parameters (Å, degrees): 9.862 9.862 9.892 93.04 93.04 87.57
Fractional positions:
Li 0.015 0.684 0.387
Li 0.038 0.434 0.255
Li 0.146 0.146 0.109
Li 0.233 0.473 0.519
Li 0.316 0.985 0.613
Li 0.351 0.269 0.311
Li 0.527 0.767 0.481
Li 0.566 0.962 0.745
Li 0.625 0.055 0.018
Li 0.731 0.649 0.689
Li 0.854 0.854 0.891
Li 0.945 0.375 0.982
Mn 0.119 0.669 0.778
Mn 0.331 0.881 0.222
V 0.058 0.167 0.717
V 0.336 0.664 0.000
V 0.555 0.445 0.000
V 0.623 0.377 0.500
V 0.833 0.942 0.283
V 0.837 0.163 0.500
P 0.037 0.735 0.107
P 0.133 0.081 0.399
P 0.239 0.366 0.922
P 0.265 0.963 0.893
P 0.418 0.553 0.301
P 0.447 0.582 0.699
P 0.537 0.060 0.422
P 0.634 0.761 0.078
P 0.740 0.236 0.800
P 0.764 0.260 0.200
P 0.919 0.867 0.601
P 0.940 0.463 0.578
O 0.001 0.619 0.192
O 0.027 0.506 0.463
O 0.063 0.804 0.633
O 0.127 0.027 0.836
O 0.153 0.316 0.033
O 0.170 0.116 0.552
O 0.181 0.187 0.306
O 0.196 0.937 0.367
O 0.198 0.745 0.127
O 0.200 0.302 0.782
O 0.210 0.525 0.922
O 0.255 0.802 0.873
O 0.278 0.005 0.045
O 0.294 0.603 0.659
O 0.306 0.463 0.342
O 0.381 0.999 0.808
O 0.397 0.706 0.341
O 0.399 0.341 0.953
O 0.424 0.535 0.139
O 0.465 0.576 0.861
O 0.472 0.015 0.283
O 0.475 0.790 0.078
O 0.494 0.443 0.635
O 0.494 0.973 0.537
O 0.502 0.215 0.443
O 0.537 0.694 0.658
O 0.557 0.506 0.365
O 0.630 0.319 0.132
O 0.659 0.601 0.047
O 0.677 0.110 0.845
O 0.681 0.370 0.868
O 0.684 0.847 0.967
O 0.698 0.034 0.420
O 0.698 0.800 0.218
O 0.711 0.242 0.641
O 0.758 0.289 0.359
O 0.761 0.102 0.168
O 0.785 0.498 0.557
O 0.813 0.819 0.694
O 0.884 0.830 0.448
O 0.890 0.323 0.155
O 0.898 0.239 0.832
O 0.919 0.027 0.628
O 0.966 0.302 0.580
O 0.973 0.081 0.372
O 0.973 0.873 0.164
O 0.985 0.528 0.717
O 0.995 0.722 0.955

***

It comes down to *w*, which is 30 meV per atom more stable than the next structure.